Compound: Na21Ca8Nb4Si3P15O72
Source: the Materials Project
Functional: PBE
Structure: relaxed

## Properties
Volume: 13.92 Å³ per atom
Magnetic moment: 0.000 μB per cell
Calculated formation energy: -2.8528 eV/atom

a = 9.348 Å, b = 9.369 Å, c = 22.614 Å
α = 90.01°, β = 90.04°, γ = 120.15°
Atoms (fractional coordinates):
O 0.658 0.119 0.140
O 0.134 0.656 0.079
O 0.111 0.447 0.984
O 0.202 0.036 0.576
O 0.504 0.144 0.920
O 0.568 0.869 0.481
O 0.843 0.369 0.920
O 0.202 0.198 0.408
O 0.507 0.641 0.867
O 0.566 0.679 0.978
O 0.807 0.790 0.908
O 0.649 0.132 0.748
O 0.519 0.868 0.078
O 0.958 0.795 0.078
O 0.788 0.783 0.308
O 0.843 0.326 0.528
O 0.172 0.493 0.261
O 0.046 0.799 0.696
O 0.201 0.957 0.198
O 0.808 0.018 0.797
O 0.841 0.517 0.027
O 0.490 0.126 0.251
O 0.188 0.980 0.907
O 0.986 0.778 0.806
O 0.180 0.687 0.762
O 0.512 0.372 0.421
O 0.820 0.014 0.410
O 0.470 0.345 0.135
O 0.314 0.818 0.260
O 0.144 0.505 0.868
O 0.670 0.526 0.249
O 0.139 0.636 0.366
O 0.312 0.433 0.478
O 0.835 0.043 0.077
O 0.030 0.242 0.195
O 0.880 0.339 0.640
O 0.365 0.864 0.867
O 0.205 0.167 0.076
O 0.496 0.858 0.366
O 0.228 0.004 0.310
O 0.997 0.814 0.411
O 0.213 0.190 0.798
O 0.514 0.644 0.580
O 0.482 0.327 0.025
O 0.627 0.150 0.423
O 0.664 0.541 0.640
O 0.879 0.536 0.139
O 0.984 0.212 0.307
O 0.351 0.868 0.580
O 0.507 0.679 0.263
O 0.960 0.164 0.576
O 0.134 0.480 0.579
O 0.351 0.483 0.078
O 0.631 0.485 0.919
O 0.846 0.483 0.423
O 0.322 0.879 0.978
O 0.458 0.122 0.640
O 0.869 0.515 0.749
O 0.510 0.823 0.762
O 0.833 0.795 0.576
O 0.741 0.951 0.689
O 0.862 0.351 0.251
O 0.485 0.353 0.748
O 0.992 0.184 0.913
O 0.672 0.515 0.528
O 0.209 0.261 0.690
O 0.316 0.490 0.764
O 0.755 0.805 0.197
O 0.671 0.160 0.029
O 0.482 0.156 0.528
O 0.127 0.689 0.482
O 0.363 0.499 0.369
Na 0.709 0.694 0.410
Na 0.990 0.991 0.496
Na 0.355 0.008 0.748
Na 0.988 0.641 0.242
Na 0.987 0.341 0.748
Na 0.296 0.338 0.583
Na 0.046 0.707 0.578
Na 0.660 0.952 0.579
Na 0.654 0.319 0.834
Na 0.337 0.670 0.664
Na 0.294 0.956 0.081
Na 0.651 0.334 0.324
Na 0.044 0.341 0.078
Na 0.001 0.028 0.994
Na 0.664 0.703 0.081
Na 0.655 0.646 0.747
Na 0.311 0.015 0.411
Na 0.980 0.680 0.913
Na 0.980 0.298 0.407
Na 0.332 0.646 0.163
Na 0.662 0.010 0.242
Ca 0.999 0.000 0.652
Ca 0.999 0.008 0.851
Ca 0.335 0.665 0.013
Ca 0.660 0.332 0.185
Ca 0.668 0.334 0.684
Ca 0.335 0.668 0.514
Ca 0.004 0.004 0.345
Ca 0.005 0.007 0.151
Nb 0.670 0.333 0.479
Nb 0.665 0.330 0.979
Nb 0.332 0.663 0.824
Nb 0.332 0.667 0.320
P 0.671 0.043 0.083
P 0.308 0.988 0.254
P 0.373 0.331 0.080
P 0.957 0.629 0.082
P 0.370 0.042 0.583
P 0.685 0.696 0.253
P 0.683 0.987 0.749
P 0.959 0.328 0.583
P 0.009 0.318 0.252
P 0.013 0.696 0.753
P 0.343 0.373 0.420
P 0.670 0.628 0.582
P 0.342 0.969 0.920
P 0.305 0.316 0.750
P 0.631 0.654 0.920
Si 0.029 0.663 0.421
Si 0.022 0.363 0.924
Si 0.634 0.971 0.421

=====

Compound: RbNaCa2Nb4O13
Source: the Materials Project
Functional: PBE
Structure: relaxed

## Properties
Volume: 14.52 Å³ per atom
Magnetic moment: 0.000 μB per cell
Calculated formation energy: -3.0370 eV/atom

a = 3.979 Å, b = 3.979 Å, c = 19.254 Å
α = 90.00°, β = 90.00°, γ = 90.00°
Atoms (fractional coordinates):
Nb 0.000 0.000 0.673
Nb 0.000 0.000 0.105
Nb 0.000 0.000 0.895
Nb 0.000 0.000 0.327
Ca 0.500 0.500 0.222
Ca 0.500 0.500 0.778
O 0.000 0.500 0.105
O 0.000 0.000 0.421
O 0.000 0.000 0.000
O 0.500 0.000 0.695
O 0.000 0.500 0.895
O 0.500 0.000 0.895
O 0.000 0.500 0.695
O 0.000 0.000 0.579
O 0.500 0.000 0.305
O 0.000 0.000 0.793
O 0.000 0.000 0.207
O 0.000 0.500 0.305
O 0.500 0.000 0.105
Na 0.500 0.500 0.000
Rb 0.500 0.500 0.500

=====

Which of these has the highest calculated formation energy? Na21Ca8Nb4Si3P15O72

=====

Number 1 is which compound? Na21Ca8Nb4Si3P15O72

=====

Look up the calculated formation energy of the second one. -3.0370 eV/atom